[1]
First-principles (PBE) data for a geometry-optimized CaLuRh2 structure, as listed in Materials Project.

Results
As for the total energy: -5.986 eV/atom. The formation energy from the elements comes out at -0.67 eV per atom. The calculation puts the total magnetization at 0.00 μB per cell.

Unit cell a=6.7661 b=6.7661 c=6.7661 alpha=90.00 beta=90.00 gamma=90.00
Last column: nearest neighbours and their distance in Å.
Space group Fm-3m (No. 225)
One atom of each set of equivalent atoms:
1 Ca 0.0000 0.0000 0.0000  8 Rh 2.93
2 Lu 0.0000 0.0000 0.5000  8 Rh 2.93
3 Rh 0.2500 0.2500 0.2500  4 Ca 2.93, 4 Lu 2.93

***

[2]
First-principles (PBE) data for a geometry-optimized CaLu2Te4 structure, as listed in Materials Project.

Results
As for the total energy: -4.796 eV/atom. The formation energy from the elements comes out at -1.66 eV per atom.

Unit cell a=7.4226 b=4.3521 c=7.7258 alpha=90.00 beta=107.68 gamma=90.00
Last column: nearest neighbours and their distance in Å.
Space group P2/m (No. 10)
One atom of each set of equivalent atoms:
1 Ca 0.0000 0.0000 0.0000  6 Te 3.13-3.19
2 Lu 0.0000 0.5000 0.5000  6 Te 3.05-3.07
3 Lu 0.5000 0.0000 0.5000  6 Te 2.99-3.05
4 Te 0.2450 0.0000 0.7338  3 Lu 2.99-3.05, 1 Ca 3.13
5 Te 0.2622 0.5000 0.2603  3 Lu 3.05-3.07, 2 Ca 3.19

***

[3]
First-principles (PBE) data for a geometry-optimized CaMg2 structure, as listed in Materials Project.

Results
As for the total energy: -1.732 eV/atom. The formation energy from the elements comes out at 0.00 eV per atom. The calculation puts the total magnetization at 0.03 μB per cell.

Unit cell a=12.8335 b=3.5491 c=7.8841 alpha=90.00 beta=107.49 gamma=90.00
Last column: nearest neighbours and their distance in Å.
Space group C2/m (No. 12)
One atom of each set of equivalent atoms:
1 Ca 0.1746 0.0000 0.1354  8 Mg 3.31-3.63, 2 Ca 3.55
2 Mg 0.0306 0.5000 0.7724  6 Mg 3.18-3.55, 4 Ca 3.40-3.43
3 Mg 0.1368 0.0000 0.5325  7 Mg 3.18-3.55, 3 Ca 3.31-3.47

***

Which of these has the highest formation energy from the elements? CaMg2

***

Among the records above, which one has the lowest formation energy from the elements? CaLu2Te4

***

The highest formation energy from the elements belongs to which entry? CaMg2

***

What is the formula in the second record? CaLu2Te4